# 1
NaFeGe2O6: relaxed, PBE with a Hubbard U.

## Properties
crystal system = monoclinic
density = 4.334 Mg/m³
formation energy = -2.048 eV/atom

```
NaFeGe2O6
1.0
5.0978 -4.5173 0.0000
5.0978 4.5173 0.0000
-1.7110 0.0000 5.3262
Na Fe Ge O
2 2 4 12
direct
0.2000 0.8000 0.7500
0.8000 0.2000 0.2500
0.4028 0.5972 0.2500
0.5972 0.4028 0.7500
0.1201 0.3061 0.7738
0.3061 0.1201 0.2738
0.6939 0.8799 0.7262
0.8799 0.6939 0.2262
0.1280 0.5896 0.2979
0.1343 0.1443 0.9854
0.1443 0.1343 0.4854
0.3150 0.4748 0.8710
0.4104 0.8720 0.2021
0.4748 0.3150 0.3710
0.5252 0.6850 0.6290
0.5896 0.1280 0.7979
0.6850 0.5252 0.1290
0.8557 0.8657 0.5146
0.8657 0.8557 0.0146
0.8720 0.4104 0.7021
```

***

# 2
NdFeGe2O7: relaxed, PBE with a Hubbard U.

## Properties
crystal system = monoclinic
density = 5.301 Mg/m³
formation energy = -2.458 eV/atom

```
NdFeGe2O7
1.0
7.3783 0.0000 0.0000
0.0000 6.6898 0.0000
-6.1194 0.0000 11.6105
Nd Fe Ge O
4 4 8 28
direct
0.2410 0.1461 0.4748
0.2410 0.3539 0.9748
0.7590 0.6461 0.0252
0.7590 0.8539 0.5252
0.2127 0.1003 0.7307
0.2127 0.3997 0.2307
0.7873 0.6003 0.7693
0.7873 0.8997 0.2693
0.2166 0.6577 0.4591
0.2166 0.8423 0.9591
0.2975 0.5889 0.7203
0.2975 0.9111 0.2203
0.7025 0.0889 0.7797
0.7025 0.4111 0.2797
0.7834 0.1577 0.0409
0.7834 0.3423 0.5409
0.0143 0.6625 0.9242
0.0143 0.8375 0.4242
0.1523 0.6886 0.1849
0.1523 0.8114 0.6849
0.2052 0.0485 0.8732
0.2052 0.4515 0.3732
0.2203 0.1096 0.2796
0.2203 0.3904 0.7796
0.2554 0.5013 0.5791
0.2554 0.9987 0.0791
0.4097 0.6750 0.9805
0.4097 0.8250 0.4805
0.4349 0.1251 0.6933
0.4349 0.3749 0.1933
0.5651 0.6251 0.8067
0.5651 0.8749 0.3067
0.5903 0.1750 0.5195
0.5903 0.3250 0.0195
0.7446 0.0013 0.9209
0.7446 0.4987 0.4209
0.7797 0.6096 0.2204
0.7797 0.8904 0.7204
0.7948 0.5485 0.6268
0.7948 0.9515 0.1268
0.8477 0.1886 0.3151
0.8477 0.3114 0.8151
0.9857 0.1625 0.5758
0.9857 0.3375 0.0758
```

***

# 3
Fe15Ge8O36: relaxed, PBE with a Hubbard U.

## Properties
crystal system = triclinic
density = 4.812 Mg/m³
formation energy = -1.828 eV/atom

```
Fe15Ge8O36
1.0
7.9600 0.0000 0.0000
1.6574 8.9785 0.0000
1.6052 4.1607 9.6317
Fe Ge O
15 8 36
direct
0.0000 0.0000 0.0000
0.0373 0.7605 0.8071
0.1658 0.7263 0.4870
0.1838 0.0512 0.4865
0.1899 0.3887 0.4897
0.2610 0.0902 0.7451
0.3124 0.4398 0.9992
0.3388 0.7788 0.0055
0.6612 0.2212 0.9945
0.6876 0.5602 0.0008
0.7390 0.9098 0.2549
0.8101 0.6113 0.5103
0.8162 0.9488 0.5135
0.8342 0.2737 0.5130
0.9627 0.2395 0.1929
0.0076 0.4079 0.8085
0.3152 0.0238 0.1782
0.4754 0.7501 0.6919
0.4800 0.4098 0.6911
0.5200 0.5902 0.3089
0.5246 0.2499 0.3081
0.6848 0.9762 0.8218
0.9924 0.5921 0.1915
0.0261 0.5072 0.6198
0.0434 0.8587 0.6090
0.0840 0.1883 0.5950
0.1024 0.2029 0.8632
0.1115 0.5311 0.8602
0.1361 0.8873 0.8799
0.1996 0.2245 0.1249
0.2034 0.5854 0.1077
0.2206 0.9179 0.1056
0.2763 0.9365 0.3619
0.3061 0.5858 0.3859
0.3085 0.2546 0.3780
0.3581 0.9452 0.6291
0.3604 0.3058 0.6365
0.3839 0.6221 0.6334
0.4532 0.6569 0.8787
0.4625 0.9705 0.8673
0.4701 0.3297 0.8742
0.5299 0.6703 0.1258
0.5375 0.0295 0.1327
0.5468 0.3431 0.1213
0.6161 0.3779 0.3666
0.6396 0.6942 0.3635
0.6419 0.0548 0.3709
0.6915 0.7454 0.6220
0.6939 0.4142 0.6141
0.7237 0.0635 0.6381
0.7794 0.0821 0.8944
0.7966 0.4146 0.8923
0.8004 0.7755 0.8751
0.8639 0.1127 0.1201
0.8885 0.4689 0.1398
0.8976 0.7971 0.1368
0.9160 0.8117 0.4050
0.9566 0.1413 0.3910
0.9739 0.4928 0.3802
```

***

# 4
FeGe2O6: relaxed, PBE with a Hubbard U.

## Properties
crystal system = monoclinic
density = 4.127 Mg/m³
formation energy = -1.731 eV/atom

```
FeGe2O6
1.0
10.2795 0.0000 0.0000
0.0000 8.8465 0.0000
-1.3391 0.0000 5.2587
Fe Ge O
4 8 24
direct
0.2310 0.1569 0.4712
0.2310 0.3431 0.9712
0.7690 0.6569 0.0288
0.7690 0.8431 0.5288
0.0552 0.6626 0.8417
0.0552 0.8374 0.3417
0.4871 0.6524 0.1313
0.4871 0.8476 0.6313
0.5129 0.1524 0.3687
0.5129 0.3476 0.8687
0.9448 0.1626 0.6583
0.9448 0.3374 0.1583
0.1124 0.0170 0.2838
0.1124 0.4830 0.7838
0.1213 0.7055 0.1638
0.1213 0.7945 0.6638
0.1250 0.1753 0.7303
0.1250 0.3247 0.2303
0.3330 0.1907 0.2093
0.3330 0.3093 0.7093
0.4031 0.0330 0.5793
0.4031 0.4670 0.0793
0.4232 0.7072 0.3992
0.4232 0.7928 0.8992
0.5768 0.2072 0.1008
0.5768 0.2928 0.6008
0.5969 0.5330 0.9207
0.5969 0.9670 0.4207
0.6670 0.6907 0.2907
0.6670 0.8093 0.7907
0.8750 0.6753 0.7697
0.8750 0.8247 0.2697
0.8787 0.2055 0.3362
0.8787 0.2945 0.8362
0.8876 0.5170 0.2162
0.8876 0.9830 0.7162
```

***

# 5
FeGe2O6: relaxed, PBE with a Hubbard U.

## Properties
crystal system = monoclinic
density = 4.125 Mg/m³
formation energy = -1.736 eV/atom

```
FeGe2O6
1.0
5.0229 -4.4974 0.0000
5.0229 4.4974 0.0000
-1.7030 0.0000 5.2945
Fe Ge O
2 4 12
direct
0.0971 0.9029 0.7500
0.9029 0.0971 0.2500
0.2045 0.3847 0.7249
0.3847 0.2045 0.2249
0.6153 0.7955 0.7751
0.7955 0.6153 0.2751
0.0352 0.1788 0.6187
0.0864 0.6309 0.7929
0.1788 0.0352 0.1187
0.3423 0.3861 0.4929
0.3691 0.9136 0.7071
0.3861 0.3423 0.9929
0.6139 0.6577 0.0071
0.6309 0.0864 0.2929
0.6577 0.6139 0.5071
0.8212 0.9648 0.8813
0.9136 0.3691 0.2071
0.9648 0.8212 0.3813
```

***

# 6
Fe2GeO4: relaxed, PBE with a Hubbard U.

## Properties
crystal system = cubic
density = 5.334 Mg/m³
formation energy = -1.831 eV/atom

```
Fe2GeO4
1.0
0.0000 4.2600 4.2600
4.2600 0.0000 4.2600
4.2600 4.2600 0.0000
Fe Ge O
4 2 8
direct
0.0000 0.0000 0.0000
0.0000 0.0000 0.5000
0.0000 0.5000 0.0000
0.5000 0.0000 0.0000
0.3750 0.3750 0.3750
0.6250 0.6250 0.6250
0.2530 0.2530 0.2530
0.2530 0.2530 0.7409
0.2530 0.7409 0.2530
0.2591 0.7470 0.7470
0.7409 0.2530 0.2530
0.7470 0.2591 0.7470
0.7470 0.7470 0.2591
0.7470 0.7470 0.7470
```

***

# 7
FeGeO3: relaxed, PBE with a Hubbard U.

## Properties
crystal system = monoclinic
density = 4.928 Mg/m³
formation energy = -1.917 eV/atom

```
FeGeO3
1.0
4.9652 -4.6358 0.0000
4.9652 4.6358 0.0000
-1.0969 0.0000 5.1672
Fe Ge O
4 4 12
direct
0.0923 0.9077 0.7500
0.2707 0.7293 0.2500
0.7293 0.2707 0.7500
0.9077 0.0923 0.2500
0.2079 0.3921 0.7166
0.3921 0.2079 0.2166
0.6079 0.7921 0.7834
0.7921 0.6079 0.2834
0.0288 0.2085 0.6408
0.1432 0.6232 0.8808
0.2085 0.0288 0.1408
0.2929 0.4240 0.4155
0.3768 0.8568 0.6192
0.4240 0.2929 0.9155
0.5760 0.7071 0.0845
0.6232 0.1432 0.3808
0.7071 0.5760 0.5845
0.7915 0.9712 0.8592
0.8568 0.3768 0.1192
0.9712 0.7915 0.3592
```

***

# 8
PrFeGe2O7: relaxed, PBE with a Hubbard U.

## Properties
crystal system = monoclinic
density = 5.212 Mg/m³
formation energy = -2.454 eV/atom

```
PrFeGe2O7
1.0
7.3709 0.0000 0.0000
0.0000 6.7057 0.0000
-6.0601 0.0000 11.7073
Pr Fe Ge O
4 4 8 28
direct
0.2394 0.1475 0.4760
0.2394 0.3525 0.9760
0.7606 0.6475 0.0240
0.7606 0.8525 0.5240
0.2120 0.1009 0.7317
0.2120 0.3991 0.2317
0.7880 0.6009 0.7683
0.7880 0.8991 0.2683
0.2164 0.6583 0.4601
0.2164 0.8417 0.9601
0.2976 0.5888 0.7205
0.2976 0.9112 0.2205
0.7024 0.0888 0.7795
0.7024 0.4112 0.2795
0.7836 0.1583 0.0399
0.7836 0.3417 0.5399
0.0106 0.6651 0.9234
0.0106 0.8349 0.4234
0.1536 0.6884 0.1866
0.1536 0.8116 0.6866
0.2080 0.0465 0.8745
0.2080 0.4535 0.3745
0.2188 0.1091 0.2795
0.2188 0.3909 0.7795
0.2543 0.5025 0.5795
0.2543 0.9975 0.0795
0.4092 0.6740 0.9828
0.4092 0.8260 0.4828
0.4352 0.1244 0.6946
0.4352 0.3756 0.1946
0.5648 0.6244 0.8054
0.5648 0.8756 0.3054
0.5908 0.1740 0.5172
0.5908 0.3260 0.0172
0.7457 0.0025 0.9205
0.7457 0.4975 0.4205
0.7812 0.6091 0.2205
0.7812 0.8909 0.7205
0.7920 0.5465 0.6255
0.7920 0.9535 0.1255
0.8464 0.1884 0.3134
0.8464 0.3116 0.8134
0.9894 0.1651 0.5766
0.9894 0.3349 0.0766
```

***

# 9
SmFeGe2O7: relaxed, PBE with a Hubbard U.

## Properties
crystal system = monoclinic
density = 5.449 Mg/m³
formation energy = -2.463 eV/atom

```
SmFeGe2O7
1.0
7.3148 0.0000 0.0000
0.0000 6.6671 0.0000
-6.0511 0.0000 11.5853
Sm Fe Ge O
4 4 8 28
direct
0.2411 0.1489 0.4746
0.2411 0.3511 0.9746
0.7589 0.6489 0.0254
0.7589 0.8511 0.5254
0.2092 0.0956 0.7302
0.2092 0.4044 0.2302
0.7908 0.5956 0.7698
0.7908 0.9044 0.2698
0.2184 0.6594 0.4617
0.2184 0.8406 0.9617
0.3001 0.5848 0.7231
0.3001 0.9152 0.2231
0.6999 0.0848 0.7769
0.6999 0.4152 0.2769
0.7816 0.1594 0.0383
0.7816 0.3406 0.5383
0.0136 0.6606 0.9260
0.0136 0.8394 0.4260
0.1510 0.6936 0.1861
0.1510 0.8064 0.6861
0.2063 0.0464 0.8748
0.2063 0.4536 0.3748
0.2187 0.1135 0.2815
0.2187 0.3865 0.7815
0.2606 0.0010 0.0815
0.2606 0.4990 0.5815
0.4114 0.6707 0.9830
0.4114 0.8293 0.4830
0.4305 0.1219 0.6898
0.4305 0.3781 0.1898
0.5695 0.6219 0.8102
0.5695 0.8781 0.3102
0.5886 0.1707 0.5170
0.5886 0.3293 0.0170
0.7394 0.5010 0.4185
0.7394 0.9990 0.9185
0.7813 0.6135 0.2185
0.7813 0.8865 0.7185
0.7937 0.5464 0.6252
0.7937 0.9536 0.1252
0.8490 0.1936 0.3139
0.8490 0.3064 0.8139
0.9864 0.1606 0.5740
0.9864 0.3394 0.0740
```

***

# 10
TbFeGe2O7: relaxed, PBE with a Hubbard U.

## Properties
crystal system = monoclinic
density = 5.550 Mg/m³
formation energy = -2.478 eV/atom

```
TbFeGe2O7
1.0
5.4350 -4.3195 0.0000
5.4350 4.3195 0.0000
-3.1269 0.0000 6.0155
Tb Fe Ge O
2 2 4 14
direct
0.2110 0.7890 0.0000
0.7890 0.2110 0.0000
0.3031 0.6969 0.5000
0.6969 0.3031 0.5000
0.2209 0.2209 0.5203
0.3017 0.3017 0.0774
0.6983 0.6983 0.9226
0.7791 0.7791 0.4797
0.0521 0.7238 0.5946
0.1306 0.1306 0.0341
0.2092 0.5668 0.1724
0.2762 0.9479 0.4054
0.3179 0.3179 0.8187
0.3677 0.3677 0.4659
0.4332 0.7908 0.8276
0.5668 0.2092 0.1724
0.6323 0.6323 0.5341
0.6821 0.6821 0.1813
0.7238 0.0521 0.5946
0.7908 0.4332 0.8276
0.8694 0.8694 0.9659
0.9479 0.2762 0.4054
```

***

# 11
TmFeGe2O7: relaxed, PBE with a Hubbard U.

## Properties
crystal system = monoclinic
density = 5.717 Mg/m³
formation energy = -2.493 eV/atom

```
TmFeGe2O7
1.0
5.3984 -4.3614 0.0000
5.3984 4.3614 0.0000
-2.9389 0.0000 5.9467
Tm Fe Ge O
2 2 4 14
direct
0.2009 0.7991 0.0000
0.7991 0.2009 0.0000
0.3036 0.6964 0.5000
0.6964 0.3036 0.5000
0.2164 0.2164 0.5118
0.3046 0.3046 0.0784
0.6954 0.6954 0.9216
0.7836 0.7836 0.4882
0.0542 0.7264 0.6027
0.1316 0.1316 0.0325
0.2175 0.5707 0.1673
0.2736 0.9458 0.3973
0.3110 0.3110 0.8080
0.3638 0.3638 0.4514
0.4293 0.7825 0.8327
0.5707 0.2175 0.1673
0.6362 0.6362 0.5486
0.6890 0.6890 0.1920
0.7264 0.0542 0.6027
0.7825 0.4293 0.8327
0.8684 0.8684 0.9675
0.9458 0.2736 0.3973
```

***

Question: Look up the density of the eighth one.
Answer: 5.212 Mg/m³

***

Please write out number 10 again, unchanged.
TbFeGe2O7: relaxed, PBE with a Hubbard U.

## Properties
crystal system = monoclinic
density = 5.550 Mg/m³
formation energy = -2.478 eV/atom

```
TbFeGe2O7
1.0
5.4350 -4.3195 0.0000
5.4350 4.3195 0.0000
-3.1269 0.0000 6.0155
Tb Fe Ge O
2 2 4 14
direct
0.2110 0.7890 0.0000
0.7890 0.2110 0.0000
0.3031 0.6969 0.5000
0.6969 0.3031 0.5000
0.2209 0.2209 0.5203
0.3017 0.3017 0.0774
0.6983 0.6983 0.9226
0.7791 0.7791 0.4797
0.0521 0.7238 0.5946
0.1306 0.1306 0.0341
0.2092 0.5668 0.1724
0.2762 0.9479 0.4054
0.3179 0.3179 0.8187
0.3677 0.3677 0.4659
0.4332 0.7908 0.8276
0.5668 0.2092 0.1724
0.6323 0.6323 0.5341
0.6821 0.6821 0.1813
0.7238 0.0521 0.5946
0.7908 0.4332 0.8276
0.8694 0.8694 0.9659
0.9479 0.2762 0.4054
```

***

Question: Among the records above, which one has the highest density?
Answer: TmFeGe2O7